1.
Material: BaLa2S4
Method: DFT, GGA-PBE
State: relaxed Values from VASP.

Geometry as Quantum ESPRESSO input:
```
&SYSTEM
  ibrav = 0, nat = 14, ntyp = 3
/
ATOMIC_SPECIES
Ba 137.33 Ba.upf
La 138.91 La.upf
S 32.06 S.upf
CELL_PARAMETERS angstrom
-4.494 4.494 4.463
4.494 -4.494 4.463
4.494 4.494 -4.463
ATOMIC_POSITIONS crystal
Ba 0.000 0.000 0.000
Ba 0.750 0.250 0.500
La 0.249 0.625 0.124
La 0.375 0.499 0.624
La 0.501 0.125 0.876
La 0.875 0.751 0.376
S 0.140 0.732 0.745
S 0.145 0.237 0.755
S 0.268 0.013 0.408
S 0.482 0.390 0.245
S 0.605 0.860 0.592
S 0.610 0.855 0.092
S 0.763 0.518 0.908
S 0.987 0.395 0.255
```



2.
! AgBiTe2 | the Materials Project database | GGA-PBE | relaxed; values from VASP
! Magnetization (μB per formula unit): 0.00
&SYSTEM
  ibrav = 0, nat = 4, ntyp = 3
/
ATOMIC_SPECIES
Ag 107.87 Ag.upf
Bi 208.98 Bi.upf
Te 127.60 Te.upf
CELL_PARAMETERS angstrom
2.219 1.281 7.036
-2.219 1.281 7.036
0.000 -2.562 7.036
ATOMIC_POSITIONS crystal
Ag 0.000 0.000 0.000
Bi 0.500 0.500 0.500
Te 0.256 0.256 0.256
Te 0.744 0.744 0.744



3.
! Mg6AlFe | the Materials Project database | GGA-PBE | relaxed; values from VASP
! ΔE to the lowest computed polymorph (meV/atom): 0.0
&SYSTEM
  ibrav = 0, nat = 16, ntyp = 3
/
ATOMIC_SPECIES
Mg 24.30 Mg.upf
Al 26.98 Al.upf
Fe 55.84 Fe.upf
CELL_PARAMETERS angstrom
4.813 0.000 0.000
0.000 6.132 0.000
0.000 0.000 10.590
ATOMIC_POSITIONS crystal
Mg 0.000 0.262 0.087
Mg 0.000 0.738 0.087
Mg 0.000 0.500 0.832
Mg 0.500 0.246 0.915
Mg 0.500 0.754 0.915
Mg 0.500 0.500 0.666
Mg 0.000 0.762 0.587
Mg 0.000 0.238 0.587
Mg 0.000 0.000 0.332
Mg 0.500 0.746 0.415
Mg 0.500 0.254 0.415
Mg 0.500 0.000 0.166
Al 0.000 0.500 0.319
Al 0.000 0.000 0.819
Fe 0.500 0.500 0.178
Fe 0.500 0.000 0.678



4.
! KTh2P3O12 | the Materials Project database | GGA-PBE | relaxed; values from VASP
! Magnetization (μB per formula unit): 0.00
&SYSTEM
  ibrav = 0, nat = 36, ntyp = 4
/
ATOMIC_SPECIES
K 39.10 K.upf
Th 232.04 Th.upf
P 30.97 P.upf
O 16.00 O.upf
CELL_PARAMETERS angstrom
8.914 -3.455 0.000
8.914 3.455 0.000
-1.714 0.000 8.054
ATOMIC_POSITIONS crystal
K 0.098 0.902 0.750
K 0.902 0.098 0.250
Th 0.252 0.441 0.965
Th 0.441 0.252 0.465
Th 0.559 0.748 0.535
Th 0.748 0.559 0.035
P 0.100 0.281 0.685
P 0.281 0.100 0.185
P 0.403 0.597 0.250
P 0.597 0.403 0.750
P 0.719 0.900 0.815
P 0.900 0.719 0.315
O 0.048 0.236 0.155
O 0.052 0.355 0.873
O 0.103 0.588 0.426
O 0.225 0.326 0.670
O 0.236 0.048 0.655
O 0.254 0.694 0.091
O 0.306 0.746 0.409
O 0.326 0.225 0.170
O 0.355 0.052 0.373
O 0.396 0.460 0.754
O 0.412 0.897 0.074
O 0.460 0.396 0.254
O 0.540 0.604 0.746
O 0.588 0.103 0.926
O 0.604 0.540 0.246
O 0.645 0.948 0.627
O 0.674 0.775 0.830
O 0.694 0.254 0.591
O 0.746 0.306 0.909
O 0.764 0.952 0.345
O 0.775 0.674 0.330
O 0.897 0.412 0.574
O 0.948 0.645 0.127
O 0.952 0.764 0.845



5.
! Rb3NaRe2O9 | the Materials Project database | GGA-PBE | relaxed; values from VASP
! Magnetization (μB per formula unit): 0.00
&SYSTEM
  ibrav = 0, nat = 30, ntyp = 4
/
ATOMIC_SPECIES
Rb 85.47 Rb.upf
Na 22.99 Na.upf
Re 186.21 Re.upf
O 16.00 O.upf
CELL_PARAMETERS angstrom
6.254 0.000 0.000
-3.127 5.416 0.000
0.000 0.000 14.633
ATOMIC_POSITIONS crystal
Rb 0.000 0.000 0.250
Rb 0.000 0.000 0.750
Rb 0.333 0.667 0.104
Rb 0.333 0.667 0.396
Rb 0.667 0.333 0.604
Rb 0.667 0.333 0.896
Na 0.000 0.000 0.000
Na 0.000 0.000 0.500
Re 0.333 0.667 0.650
Re 0.333 0.667 0.850
Re 0.667 0.333 0.150
Re 0.667 0.333 0.350
O 0.068 0.534 0.750
O 0.186 0.372 0.593
O 0.186 0.372 0.907
O 0.186 0.814 0.593
O 0.186 0.814 0.907
O 0.372 0.186 0.093
O 0.372 0.186 0.407
O 0.466 0.534 0.750
O 0.466 0.932 0.750
O 0.534 0.068 0.250
O 0.534 0.466 0.250
O 0.628 0.814 0.593
O 0.628 0.814 0.907
O 0.814 0.186 0.093
O 0.814 0.186 0.407
O 0.814 0.628 0.093
O 0.814 0.628 0.407
O 0.932 0.466 0.250



6.
! K3Si5H2O11 | the Materials Project database | GGA-PBE | relaxed; values from VASP
! Magnetization (μB per formula unit): 0.00
&SYSTEM
  ibrav = 0, nat = 42, ntyp = 4
/
ATOMIC_SPECIES
K 39.10 K.upf
Si 28.09 Si.upf
H 1.01 H.upf
O 16.00 O.upf
CELL_PARAMETERS angstrom
6.475 -3.999 0.000
6.475 3.999 0.000
-4.327 0.000 13.375
ATOMIC_POSITIONS crystal
K 0.030 0.970 0.500
K 0.116 0.306 0.372
K 0.306 0.116 0.872
K 0.370 0.436 0.694
K 0.436 0.370 0.194
K 0.970 0.030 0.000
Si 0.383 0.926 0.186
Si 0.494 0.965 0.547
Si 0.517 0.611 0.991
Si 0.611 0.517 0.491
Si 0.661 0.736 0.360
Si 0.736 0.661 0.860
Si 0.827 0.845 0.730
Si 0.845 0.827 0.230
Si 0.926 0.383 0.686
Si 0.965 0.494 0.047
H 0.029 0.993 0.236
H 0.272 0.507 0.943
H 0.507 0.272 0.443
H 0.993 0.029 0.736
O 0.152 0.287 0.041
O 0.287 0.152 0.541
O 0.374 0.773 0.070
O 0.411 0.453 0.932
O 0.453 0.411 0.432
O 0.477 0.748 0.539
O 0.484 0.744 0.264
O 0.533 0.720 0.907
O 0.607 0.929 0.451
O 0.609 0.941 0.184
O 0.652 0.988 0.652
O 0.720 0.533 0.407
O 0.720 0.858 0.824
O 0.744 0.484 0.764
O 0.748 0.477 0.039
O 0.773 0.374 0.570
O 0.858 0.720 0.324
O 0.929 0.607 0.951
O 0.941 0.609 0.684
O 0.952 0.986 0.283
O 0.986 0.952 0.783
O 0.988 0.652 0.152



7.
Material: HfCo2
Method: DFT, GGA-PBE
State: relaxed Values from VASP.

Geometry as Quantum ESPRESSO input:
```
&SYSTEM
  ibrav = 0, nat = 6, ntyp = 2
/
ATOMIC_SPECIES
Hf 178.49 Hf.upf
Co 58.93 Co.upf
CELL_PARAMETERS angstrom
0.000 3.440 3.440
3.440 0.000 3.440
3.440 3.440 0.000
ATOMIC_POSITIONS crystal
Hf 0.125 0.125 0.125
Hf 0.875 0.875 0.875
Co 0.000 0.500 0.500
Co 0.500 0.000 0.500
Co 0.500 0.500 0.000
Co 0.500 0.500 0.500
```



8.
! BiP4HO12 | the Materials Project database | GGA-PBE | relaxed; values from VASP
! Magnetization (μB per formula unit): 0.00
&SYSTEM
  ibrav = 0, nat = 36, ntyp = 4
/
ATOMIC_SPECIES
Bi 208.98 Bi.upf
P 30.97 P.upf
H 1.01 H.upf
O 16.00 O.upf
CELL_PARAMETERS angstrom
7.248 0.000 0.000
-2.491 8.416 0.000
-3.385 -2.559 7.931
ATOMIC_POSITIONS crystal
Bi 0.096 0.267 0.260
Bi 0.904 0.733 0.740
P 0.072 0.380 0.659
P 0.206 0.186 0.893
P 0.388 0.708 0.419
P 0.426 0.867 0.155
P 0.574 0.133 0.845
P 0.612 0.292 0.581
P 0.794 0.814 0.107
P 0.928 0.620 0.341
H 0.495 0.867 0.742
H 0.505 0.133 0.258
O 0.049 0.023 0.760
O 0.104 0.561 0.700
O 0.162 0.342 0.837
O 0.163 0.312 0.550
O 0.182 0.738 0.426
O 0.194 0.794 0.034
O 0.237 0.214 0.071
O 0.327 0.537 0.306
O 0.443 0.235 0.400
O 0.445 0.225 0.905
O 0.450 0.943 0.805
O 0.468 0.848 0.338
O 0.532 0.152 0.662
O 0.550 0.057 0.195
O 0.555 0.775 0.095
O 0.557 0.765 0.600
O 0.673 0.463 0.694
O 0.763 0.786 0.929
O 0.806 0.206 0.966
O 0.818 0.262 0.574
O 0.837 0.688 0.450
O 0.838 0.658 0.163
O 0.896 0.439 0.300
O 0.951 0.977 0.240



9.
Material: Al45V7
Method: DFT, GGA-PBE
State: relaxed Values from VASP.

Geometry as Quantum ESPRESSO input:
```
&SYSTEM
  ibrav = 0, nat = 52, ntyp = 2
/
ATOMIC_SPECIES
Al 26.98 Al.upf
V 50.94 V.upf
CELL_PARAMETERS angstrom
10.436 -3.802 0.000
10.436 3.802 0.000
-3.236 0.000 10.601
ATOMIC_POSITIONS crystal
Al 0.000 0.000 0.000
Al 0.020 0.391 0.633
Al 0.021 0.021 0.257
Al 0.028 0.642 0.644
Al 0.113 0.749 0.510
Al 0.116 0.116 0.728
Al 0.125 0.125 0.138
Al 0.126 0.494 0.878
Al 0.135 0.504 0.148
Al 0.207 0.207 0.990
Al 0.251 0.887 0.490
Al 0.260 0.649 0.877
Al 0.275 0.275 0.508
Al 0.278 0.651 0.294
Al 0.349 0.722 0.706
Al 0.351 0.740 0.123
Al 0.358 0.972 0.356
Al 0.371 0.371 0.387
Al 0.391 0.020 0.633
Al 0.410 0.410 0.655
Al 0.417 0.417 0.058
Al 0.494 0.126 0.878
Al 0.496 0.865 0.852
Al 0.504 0.135 0.148
Al 0.506 0.874 0.122
Al 0.583 0.583 0.942
Al 0.590 0.590 0.345
Al 0.609 0.980 0.367
Al 0.629 0.629 0.613
Al 0.642 0.028 0.644
Al 0.649 0.260 0.877
Al 0.651 0.278 0.294
Al 0.722 0.349 0.706
Al 0.725 0.725 0.492
Al 0.740 0.351 0.123
Al 0.749 0.113 0.510
Al 0.793 0.793 0.010
Al 0.865 0.496 0.852
Al 0.874 0.506 0.122
Al 0.875 0.875 0.862
Al 0.884 0.884 0.272
Al 0.887 0.251 0.490
Al 0.972 0.358 0.356
Al 0.979 0.979 0.743
Al 0.980 0.609 0.367
V 0.084 0.744 0.081
V 0.249 0.249 0.261
V 0.256 0.916 0.919
V 0.500 0.500 0.500
V 0.744 0.084 0.081
V 0.751 0.751 0.739
V 0.916 0.256 0.919
```



10.
Material: Tb2CuPt
Method: DFT, GGA-PBE
State: relaxed Values from VASP.

Geometry as Quantum ESPRESSO input:
```
&SYSTEM
  ibrav = 0, nat = 8, ntyp = 3
/
ATOMIC_SPECIES
Tb 158.93 Tb.upf
Cu 63.55 Cu.upf
Pt 195.08 Pt.upf
CELL_PARAMETERS angstrom
4.462 0.000 0.000
0.000 5.533 0.000
0.000 0.000 7.176
ATOMIC_POSITIONS crystal
Tb 0.000 0.105 0.000
Tb 0.000 0.895 0.500
Tb 0.500 0.386 0.370
Tb 0.500 0.614 0.870
Cu 0.000 0.393 0.649
Cu 0.000 0.607 0.149
Pt 0.500 0.114 0.721
Pt 0.500 0.886 0.221
```



11.
! Zn3Cu2C2O12 | the Materials Project database | GGA-PBE | relaxed; values from VASP
! Magnetization (μB per formula unit): 3.00
&SYSTEM
  ibrav = 0, nat = 38, ntyp = 4
/
ATOMIC_SPECIES
Zn 65.41 Zn.upf
Cu 63.55 Cu.upf
C 12.01 C.upf
O 16.00 O.upf
CELL_PARAMETERS angstrom
5.193 0.000 0.000
0.000 6.056 0.000
-2.133 0.000 13.852
ATOMIC_POSITIONS crystal
Zn 0.089 0.000 0.251
Zn 0.363 0.744 0.630
Zn 0.383 0.746 0.889
Zn 0.617 0.246 0.111
Zn 0.637 0.244 0.370
Zn 0.911 0.500 0.749
Cu 0.091 0.496 0.258
Cu 0.420 0.240 0.741
Cu 0.580 0.740 0.259
Cu 0.909 0.996 0.742
C 0.020 0.252 0.546
C 0.128 0.245 0.053
C 0.872 0.745 0.947
C 0.980 0.752 0.454
O 0.009 0.760 0.674
O 0.072 0.261 0.641
O 0.114 0.751 0.979
O 0.208 0.246 0.498
O 0.213 0.723 0.190
O 0.218 0.226 0.147
O 0.220 0.749 0.491
O 0.251 0.017 0.808
O 0.273 0.468 0.811
O 0.309 0.259 0.001
O 0.429 0.507 0.325
O 0.443 0.979 0.323
O 0.557 0.479 0.677
O 0.571 0.007 0.675
O 0.691 0.759 0.999
O 0.727 0.968 0.189
O 0.749 0.517 0.192
O 0.780 0.249 0.509
O 0.782 0.726 0.853
O 0.787 0.223 0.810
O 0.792 0.746 0.502
O 0.886 0.251 0.021
O 0.928 0.761 0.359
O 0.991 0.260 0.326



12.
! Nd3Ho | the Materials Project database | GGA-PBE | relaxed; values from VASP
! ΔE to the lowest computed polymorph (meV/atom): 19.7
&SYSTEM
  ibrav = 0, nat = 8, ntyp = 2
/
ATOMIC_SPECIES
Nd 144.24 Nd.upf
Ho 164.93 Ho.upf
CELL_PARAMETERS angstrom
7.317 0.000 0.000
-3.659 6.337 0.000
0.000 0.000 5.978
ATOMIC_POSITIONS crystal
Nd 0.167 0.334 0.250
Nd 0.167 0.833 0.250
Nd 0.334 0.167 0.750
Nd 0.666 0.833 0.250
Nd 0.833 0.167 0.750
Nd 0.833 0.666 0.750
Ho 0.333 0.667 0.750
Ho 0.667 0.333 0.250



13.
! CdNi3C | the Materials Project database | GGA-PBE | relaxed; values from VASP
! Magnetization (μB per formula unit): 0.00
&SYSTEM
  ibrav = 0, nat = 5, ntyp = 3
/
ATOMIC_SPECIES
Cd 112.41 Cd.upf
Ni 58.69 Ni.upf
C 12.01 C.upf
CELL_PARAMETERS angstrom
3.866 0.000 0.000
0.000 3.866 0.000
0.000 0.000 3.866
ATOMIC_POSITIONS crystal
Cd 0.000 0.000 0.000
Ni 0.000 0.500 0.500
Ni 0.500 0.000 0.500
Ni 0.500 0.500 0.000
C 0.500 0.500 0.500



14.
! GdAsO4 | the Materials Project database | GGA-PBE | relaxed; values from VASP
! ΔE to the lowest computed polymorph (meV/atom): 46.2
! Magnetization (μB per formula unit): 7.00
&SYSTEM
  ibrav = 0, nat = 12, ntyp = 3
/
ATOMIC_SPECIES
Gd 157.25 Gd.upf
As 74.92 As.upf
O 16.00 O.upf
CELL_PARAMETERS angstrom
4.849 0.000 0.000
0.000 7.199 0.000
-0.575 0.000 4.815
ATOMIC_POSITIONS crystal
Gd 0.118 0.250 0.136
Gd 0.882 0.750 0.864
As 0.373 0.750 0.357
As 0.627 0.250 0.643
O 0.201 0.566 0.186
O 0.201 0.934 0.186
O 0.278 0.250 0.667
O 0.343 0.750 0.705
O 0.657 0.250 0.295
O 0.722 0.750 0.333
O 0.799 0.066 0.814
O 0.799 0.434 0.814



15.
! K2NaMgTiOF5 | the Materials Project database | GGA-PBE | relaxed; values from VASP
! ΔE to the lowest computed polymorph (meV/atom): 54.9
! Magnetization (μB per formula unit): 1.28
&SYSTEM
  ibrav = 0, nat = 11, ntyp = 6
/
ATOMIC_SPECIES
K 39.10 K.upf
Na 22.99 Na.upf
Mg 24.30 Mg.upf
Ti 47.87 Ti.upf
O 16.00 O.upf
F 19.00 F.upf
CELL_PARAMETERS angstrom
4.271 -5.233 0.000
4.271 5.233 0.000
-4.190 0.000 4.383
ATOMIC_POSITIONS crystal
K 0.182 0.818 0.000
K 0.818 0.182 0.000
Na 0.561 0.561 0.568
Mg 0.581 0.581 0.099
Ti 0.060 0.060 0.591
O 0.819 0.819 0.545
F 0.302 0.908 0.613
F 0.333 0.333 0.070
F 0.346 0.346 0.649
F 0.809 0.809 0.085
F 0.908 0.302 0.613



Number 1: ΔH_f (0 K) -2.434 eV/atom. Number 2: ΔH_f (0 K) -0.361 eV/atom. Number 3: ΔH_f (0 K) 0.124 eV/atom. Number 4: ΔH_f (0 K) -3.364 eV/atom. Number 5: ΔH_f (0 K) -2.231 eV/atom. Number 6: ΔH_f (0 K) -2.512 eV/atom. Number 7: ΔH_f (0 K) -0.369 eV/atom. Number 8: ΔH_f (0 K) -2.411 eV/atom. Number 9: ΔH_f (0 K) -0.153 eV/atom. Number 10: ΔH_f (0 K) -0.790 eV/atom. Number 11: ΔH_f (0 K) -1.203 eV/atom. Number 12: ΔH_f (0 K) 0.028 eV/atom. Number 13: ΔH_f (0 K) 0.020 eV/atom. Number 14: ΔH_f (0 K) -2.761 eV/atom. Number 15: ΔH_f (0 K) -2.812 eV/atom.